Below is an optimized crystal structure of NiS2O12, with properties calculated at the PBE+U level.

## Properties
Energy of formation from the pure elements (eV/atom): -0.118
Energy relative to the lowest polymorph listed for this composition (eV/atom): 0.343

Cell lengths 7.4363, 6.8801, 8.5633 Å; angles 100.26, 109.17, 87.08 degrees
Fractional coordinates of all 15 atoms:
O 0.1243 0.3104 0.0956
O 0.8804 0.9036 0.5693
O 0.4013 0.2588 0.5070
O 0.7971 0.7377 0.5365
S 0.1072 0.2051 0.9286
S 0.8928 0.7949 0.0714
O 0.4533 0.9845 0.2891
O 0.5987 0.7412 0.4930
O 0.2029 0.2623 0.4635
O 0.8757 0.6896 0.9044
O 0.2435 0.2456 0.8508
O 0.1196 0.0964 0.4307
O 0.7565 0.7544 0.1492
O 0.5467 0.0155 0.7109
Ni 0.5000 0.0000 0.5000